[1]
Entry from the Materials Project: crystalline Ni6Se5 at its relaxed geometry (PBE).

Magnetic moment ... 0.58 Bohr magnetons per cell
Crystal system ... orthorhombic
Energy ... -5.00 eV per atom

abc: 6.862 17.013 11.812
angles: 90.00 90.00 90.00
Atoms (fractional coordinates):
Ni: 0.108 0.078 0.008
Ni: 0.108 0.277 0.646
Ni: 0.113 0.005 0.812
Ni: 0.114 0.424 0.916
Ni: 0.122 0.224 0.284
Ni: 0.123 0.620 0.241
Ni: 0.127 0.496 0.111
Ni: 0.127 0.776 0.448
Ni: 0.129 0.877 0.685
Ni: 0.133 0.930 0.000
Ni: 0.134 0.572 0.920
Ni: 0.139 0.721 0.650
Ni: 0.361 0.721 0.150
Ni: 0.366 0.572 0.420
Ni: 0.367 0.930 0.500
Ni: 0.371 0.877 0.185
Ni: 0.373 0.496 0.611
Ni: 0.373 0.776 0.948
Ni: 0.377 0.620 0.741
Ni: 0.378 0.224 0.784
Ni: 0.386 0.424 0.416
Ni: 0.387 0.005 0.312
Ni: 0.392 0.078 0.508
Ni: 0.392 0.277 0.146
Ni: 0.608 0.723 0.646
Ni: 0.608 0.922 0.008
Ni: 0.613 0.995 0.812
Ni: 0.614 0.576 0.916
Ni: 0.622 0.776 0.284
Ni: 0.623 0.380 0.241
Ni: 0.627 0.224 0.448
Ni: 0.627 0.504 0.111
Ni: 0.629 0.123 0.685
Ni: 0.633 0.070 0.000
Ni: 0.634 0.428 0.920
Ni: 0.639 0.279 0.650
Ni: 0.861 0.279 0.150
Ni: 0.866 0.428 0.420
Ni: 0.867 0.070 0.500
Ni: 0.871 0.123 0.185
Ni: 0.873 0.224 0.948
Ni: 0.873 0.504 0.611
Ni: 0.877 0.380 0.741
Ni: 0.878 0.776 0.784
Ni: 0.886 0.576 0.416
Ni: 0.887 0.995 0.312
Ni: 0.892 0.723 0.146
Ni: 0.892 0.922 0.508
Se: 0.111 0.297 0.843
Se: 0.118 0.401 0.565
Se: 0.125 0.007 0.610
Se: 0.126 0.202 0.088
Se: 0.126 0.490 0.314
Se: 0.128 0.807 0.083
Se: 0.129 0.596 0.572
Se: 0.133 0.099 0.363
Se: 0.139 0.700 0.846
Se: 0.143 0.900 0.343
Se: 0.357 0.900 0.843
Se: 0.361 0.700 0.346
Se: 0.367 0.099 0.863
Se: 0.371 0.596 0.072
Se: 0.372 0.807 0.583
Se: 0.374 0.202 0.588
Se: 0.374 0.490 0.814
Se: 0.375 0.007 0.110
Se: 0.382 0.401 0.065
Se: 0.389 0.297 0.343
Se: 0.611 0.703 0.843
Se: 0.618 0.599 0.565
Se: 0.625 0.993 0.610
Se: 0.626 0.510 0.314
Se: 0.626 0.798 0.088
Se: 0.628 0.193 0.083
Se: 0.629 0.404 0.572
Se: 0.633 0.901 0.363
Se: 0.639 0.300 0.846
Se: 0.643 0.100 0.343
Se: 0.857 0.100 0.843
Se: 0.861 0.300 0.346
Se: 0.867 0.901 0.863
Se: 0.871 0.404 0.072
Se: 0.872 0.193 0.583
Se: 0.874 0.510 0.814
Se: 0.874 0.798 0.588
Se: 0.875 0.993 0.110
Se: 0.882 0.599 0.065
Se: 0.889 0.703 0.343

=====

[2]
Entry from the Materials Project: crystalline LiBeH3 at its relaxed geometry (PBE).

Magnetic moment ... 0.00 Bohr magnetons per cell
Crystal system ... triclinic
Energy ... -3.38 eV per atom

abc: 4.700 6.178 6.512
angles: 96.64 100.23 106.85
Atoms (fractional coordinates):
Li: 0.079 0.315 0.163
Li: 0.271 0.332 0.687
Li: 0.729 0.668 0.313
Li: 0.921 0.685 0.837
Be: 0.263 0.809 0.241
Be: 0.412 0.792 0.628
Be: 0.588 0.208 0.372
Be: 0.737 0.191 0.759
H: 0.019 0.186 0.878
H: 0.193 0.804 0.447
H: 0.236 0.627 0.729
H: 0.324 0.260 0.406
H: 0.333 0.611 0.161
H: 0.472 0.007 0.771
H: 0.528 0.993 0.229
H: 0.667 0.389 0.839
H: 0.676 0.740 0.594
H: 0.764 0.373 0.271
H: 0.807 0.196 0.553
H: 0.981 0.814 0.122

=====

[3]
Entry from the Materials Project: crystalline K3PF6 at its relaxed geometry (PBE).

Magnetic moment ... 0.00 Bohr magnetons per cell
Crystal system ... triclinic
Energy ... -4.40 eV per atom

abc: 6.689 6.709 6.778
angles: 102.37 101.66 104.11
Atoms (fractional coordinates):
K: 0.000 0.000 0.000
K: 0.000 0.500 0.500
K: 0.500 0.000 0.500
P: 0.000 0.000 0.500
F: 0.071 0.788 0.291
F: 0.217 0.948 0.718
F: 0.220 0.223 0.440
F: 0.780 0.777 0.560
F: 0.783 0.052 0.282
F: 0.929 0.212 0.709

=====

[4]
Entry from the Materials Project: crystalline PuSb3 at its relaxed geometry (PBE).

Crystal system ... hexagonal
Energy ... -7.01 eV per atom

abc: 6.318 6.318 5.847
angles: 90.00 90.00 120.00
Atoms (fractional coordinates):
Pu: 0.333 0.667 0.250
Pu: 0.667 0.333 0.750
Sb: 0.173 0.345 0.750
Sb: 0.173 0.827 0.750
Sb: 0.345 0.173 0.250
Sb: 0.655 0.827 0.750
Sb: 0.827 0.173 0.250
Sb: 0.827 0.655 0.250

=====

[5]
Entry from the Materials Project: crystalline SiO2 at its relaxed geometry (PBE).

Magnetic moment ... 0.00 Bohr magnetons per cell
Crystal system ... tetragonal
Energy ... -7.22 eV per atom

abc: 4.685 4.685 15.771
angles: 90.00 90.00 90.00
Atoms (fractional coordinates):
Si: 0.023 0.424 0.347
Si: 0.023 0.576 0.153
Si: 0.424 0.023 0.903
Si: 0.424 0.977 0.597
Si: 0.576 0.023 0.097
Si: 0.576 0.977 0.403
Si: 0.977 0.424 0.653
Si: 0.977 0.576 0.847
O: 0.114 0.500 0.250
O: 0.200 0.200 0.625
O: 0.200 0.800 0.875
O: 0.202 0.299 0.873
O: 0.202 0.701 0.627
O: 0.299 0.202 0.377
O: 0.299 0.798 0.123
O: 0.500 0.114 0.000
O: 0.500 0.886 0.500
O: 0.701 0.202 0.623
O: 0.701 0.798 0.877
O: 0.798 0.299 0.127
O: 0.798 0.701 0.373
O: 0.800 0.200 0.375
O: 0.800 0.800 0.125
O: 0.886 0.500 0.750

=====

[6]
Entry from the Materials Project: crystalline GaO2 at its relaxed geometry (PBE).

Magnetic moment ... 4.00 Bohr magnetons per cell
Crystal system ... orthorhombic
Energy ... -5.36 eV per atom

abc: 6.032 5.881 5.156
angles: 65.88 62.85 51.27
Atoms (fractional coordinates):
Ga: 0.084 0.666 0.084
Ga: 0.334 0.916 0.334
Ga: 0.666 0.084 0.666
Ga: 0.916 0.334 0.916
O: 0.000 0.500 0.500
O: 0.010 0.010 0.740
O: 0.260 0.260 0.990
O: 0.500 0.000 0.500
O: 0.500 0.500 0.000
O: 0.500 0.500 0.500
O: 0.740 0.740 0.010
O: 0.990 0.990 0.260

=====

[7]
Entry from the Materials Project: crystalline Mo15Pb3Se19 at its relaxed geometry (PBE).

Magnetic moment ... 0.02 Bohr magnetons per cell
Crystal system ... monoclinic
Energy ... -6.98 eV per atom

abc: 9.916 19.724 9.921
angles: 90.00 118.87 90.00
Atoms (fractional coordinates):
Mo: 0.006 0.135 0.188
Mo: 0.006 0.365 0.188
Mo: 0.016 0.250 0.347
Mo: 0.161 0.250 0.170
Mo: 0.179 0.135 0.491
Mo: 0.179 0.365 0.491
Mo: 0.310 0.135 0.311
Mo: 0.310 0.365 0.311
Mo: 0.330 0.250 0.481
Mo: 0.334 0.557 0.849
Mo: 0.334 0.943 0.849
Mo: 0.348 0.055 0.017
Mo: 0.348 0.445 0.017
Mo: 0.487 0.057 0.845
Mo: 0.487 0.443 0.845
Mo: 0.513 0.557 0.155
Mo: 0.513 0.943 0.155
Mo: 0.652 0.555 0.983
Mo: 0.652 0.945 0.983
Mo: 0.666 0.057 0.151
Mo: 0.666 0.443 0.151
Mo: 0.670 0.750 0.519
Mo: 0.690 0.635 0.689
Mo: 0.690 0.865 0.689
Mo: 0.821 0.635 0.509
Mo: 0.821 0.865 0.509
Mo: 0.839 0.750 0.830
Mo: 0.984 0.750 0.653
Mo: 0.994 0.635 0.812
Mo: 0.994 0.865 0.812
Pb: 0.155 0.611 0.334
Pb: 0.155 0.889 0.334
Pb: 0.456 0.750 0.174
Pb: 0.544 0.250 0.826
Pb: 0.845 0.111 0.666
Pb: 0.845 0.389 0.666
Se: 0.122 0.642 0.626
Se: 0.122 0.858 0.626
Se: 0.129 0.142 0.006
Se: 0.129 0.358 0.006
Se: 0.132 0.750 0.950
Se: 0.165 0.033 0.331
Se: 0.165 0.467 0.331
Se: 0.182 0.051 0.718
Se: 0.182 0.250 0.643
Se: 0.182 0.449 0.718
Se: 0.212 0.555 0.031
Se: 0.212 0.945 0.031
Se: 0.459 0.250 0.310
Se: 0.469 0.550 0.683
Se: 0.469 0.950 0.683
Se: 0.486 0.134 0.609
Se: 0.486 0.366 0.609
Se: 0.499 0.159 0.028
Se: 0.499 0.341 0.028
Se: 0.501 0.659 0.972
Se: 0.501 0.841 0.972
Se: 0.514 0.634 0.391
Se: 0.514 0.866 0.391
Se: 0.531 0.050 0.317
Se: 0.531 0.450 0.317
Se: 0.541 0.750 0.690
Se: 0.788 0.055 0.969
Se: 0.788 0.445 0.969
Se: 0.818 0.551 0.282
Se: 0.818 0.750 0.357
Se: 0.818 0.949 0.282
Se: 0.835 0.533 0.669
Se: 0.835 0.967 0.669
Se: 0.868 0.250 0.050
Se: 0.871 0.642 0.994
Se: 0.871 0.858 0.994
Se: 0.878 0.142 0.374
Se: 0.878 0.358 0.374

=====

[8]
Entry from the Materials Project: crystalline MnInRh2 at its relaxed geometry (PBE).

Magnetic moment ... 4.30 Bohr magnetons per cell
Crystal system ... tetragonal
Energy ... -6.96 eV per atom

abc: 3.161 3.161 6.288
angles: 90.00 90.00 90.00
Atoms (fractional coordinates):
Mn: 0.000 0.000 0.000
In: 0.000 0.000 0.500
Rh: 0.500 0.500 0.233
Rh: 0.500 0.500 0.767

=====

[9]
Entry from the Materials Project: crystalline Tb3Co2Ge3 at its relaxed geometry (PBE).

Magnetic moment ... 0.01 Bohr magnetons per cell
Crystal system ... orthorhombic
Energy ... -5.96 eV per atom

abc: 5.676 5.676 14.032
angles: 90.00 90.00 137.01
Atoms (fractional coordinates):
Tb: 0.082 0.918 0.609
Tb: 0.082 0.918 0.891
Tb: 0.359 0.641 0.750
Tb: 0.641 0.359 0.250
Tb: 0.918 0.082 0.109
Tb: 0.918 0.082 0.391
Co: 0.212 0.788 0.094
Co: 0.212 0.788 0.406
Co: 0.788 0.212 0.594
Co: 0.788 0.212 0.906
Ge: 0.337 0.663 0.250
Ge: 0.372 0.628 0.540
Ge: 0.372 0.628 0.960
Ge: 0.628 0.372 0.040
Ge: 0.628 0.372 0.460
Ge: 0.663 0.337 0.750

=====

[10]
Entry from the Materials Project: crystalline Ca2B5H7O13 at its relaxed geometry (PBE).

Magnetic moment ... 0.00 Bohr magnetons per cell
Crystal system ... monoclinic
Energy ... -6.70 eV per atom

abc: 11.760 7.017 12.483
angles: 90.00 110.69 90.00
Atoms (fractional coordinates):
Ca: 0.008 0.243 0.082
Ca: 0.008 0.257 0.582
Ca: 0.307 0.748 0.376
Ca: 0.307 0.752 0.876
Ca: 0.693 0.248 0.124
Ca: 0.693 0.252 0.624
Ca: 0.992 0.743 0.418
Ca: 0.992 0.757 0.918
B: 0.018 0.227 0.330
B: 0.018 0.273 0.830
B: 0.184 0.036 0.480
B: 0.184 0.464 0.980
B: 0.249 0.250 0.355
B: 0.249 0.250 0.855
B: 0.289 0.120 0.690
B: 0.289 0.380 0.190
B: 0.303 0.716 0.125
B: 0.303 0.784 0.625
B: 0.697 0.216 0.375
B: 0.697 0.284 0.875
B: 0.711 0.620 0.810
B: 0.711 0.880 0.310
B: 0.751 0.750 0.145
B: 0.751 0.750 0.645
B: 0.816 0.536 0.020
B: 0.816 0.964 0.520
B: 0.982 0.727 0.170
B: 0.982 0.773 0.670
H: 0.096 0.530 0.277
H: 0.096 0.970 0.777
H: 0.112 0.611 0.639
H: 0.112 0.889 0.139
H: 0.264 0.087 0.995
H: 0.264 0.413 0.495
H: 0.310 0.002 0.198
H: 0.310 0.498 0.698
H: 0.430 0.235 0.548
H: 0.430 0.265 0.048
H: 0.466 0.029 0.594
H: 0.466 0.471 0.094
H: 0.486 0.722 0.646
H: 0.486 0.778 0.146
H: 0.514 0.222 0.854
H: 0.514 0.278 0.354
H: 0.534 0.529 0.906
H: 0.534 0.971 0.406
H: 0.570 0.735 0.952
H: 0.570 0.765 0.452
H: 0.690 0.502 0.302
H: 0.690 0.998 0.802
H: 0.736 0.587 0.505
H: 0.736 0.913 0.005
H: 0.888 0.111 0.861
H: 0.888 0.389 0.361
H: 0.904 0.030 0.223
H: 0.904 0.470 0.723
O: 0.021 0.609 0.611
O: 0.021 0.891 0.111
O: 0.055 0.065 0.410
O: 0.055 0.435 0.910
O: 0.089 0.672 0.273
O: 0.089 0.828 0.773
O: 0.117 0.211 0.789
O: 0.117 0.289 0.289
O: 0.199 0.664 0.021
O: 0.199 0.836 0.521
O: 0.212 0.172 0.581
O: 0.212 0.328 0.081
O: 0.264 0.071 0.416
O: 0.264 0.429 0.916
O: 0.265 0.619 0.679
O: 0.265 0.881 0.179
O: 0.301 0.084 0.936
O: 0.301 0.416 0.436
O: 0.317 0.244 0.275
O: 0.317 0.256 0.775
O: 0.329 0.563 0.214
O: 0.329 0.937 0.714
O: 0.407 0.743 0.088
O: 0.407 0.757 0.588
O: 0.492 0.163 0.609
O: 0.492 0.337 0.109
O: 0.508 0.663 0.891
O: 0.508 0.837 0.391
O: 0.593 0.243 0.412
O: 0.593 0.257 0.912
O: 0.671 0.063 0.286
O: 0.671 0.437 0.786
O: 0.683 0.744 0.225
O: 0.683 0.756 0.725
O: 0.699 0.584 0.564
O: 0.699 0.916 0.064
O: 0.735 0.119 0.821
O: 0.735 0.381 0.321
O: 0.736 0.571 0.084
O: 0.736 0.929 0.584
O: 0.788 0.672 0.919
O: 0.788 0.828 0.419
O: 0.801 0.164 0.479
O: 0.801 0.336 0.979
O: 0.883 0.711 0.711
O: 0.883 0.789 0.211
O: 0.911 0.172 0.227
O: 0.911 0.328 0.727
O: 0.945 0.565 0.090
O: 0.945 0.935 0.590
O: 0.979 0.109 0.889
O: 0.979 0.391 0.389